# 1
Material: YAl4Ni
Method: DFT, r²SCAN
State: relaxed

Calculated values
Its total energy is -0.76856 Ry per atom. For the formation energy, the calculation gives -0.586 eV/atom.

a b c (Å): 4.0482 6.5621 7.9401
angles (deg): 90.00 104.77 90.00
With the nearest neighbours (Å) after each atom.
Atoms (fractional coordinates):
Y: 0.3825 0.7500 0.7651  13 Al 2.99-3.34, 2 Ni 3.14
Y: 0.6175 0.2500 0.2349  13 Al 2.99-3.34, 2 Ni 3.14
Al: 0.8105 0.0533 0.6211  3 Ni 2.37-2.47, 1 Al 2.58
Al: 0.1895 0.9467 0.3789  3 Ni 2.37-2.47, 1 Al 2.58
Al: 0.1895 0.5533 0.3789  3 Ni 2.37-2.47, 1 Al 2.58
Al: 0.8105 0.4467 0.6211  3 Ni 2.37-2.47, 1 Al 2.58
Al: 0.0000 0.5000 0.0000  6 Al 2.86-2.93, 4 Y 3.17
Al: 0.0000 0.0000 0.0000  6 Al 2.86-2.93, 4 Y 3.17
Al: 0.4229 0.2500 0.8458  1 Ni 2.29
Al: 0.5771 0.7500 0.1542  1 Ni 2.29
Ni: 0.2737 0.2500 0.5475  7 Al 2.29-2.47
Ni: 0.7263 0.7500 0.4525  7 Al 2.29-2.47

***

# 2
Material: YbAl2Ni
Method: DFT, r²SCAN
State: relaxed

Calculated values
Its total energy is -1.19052 Ry per atom. For the formation energy, the calculation gives -0.704 eV/atom.

a b c (Å): 5.3207 5.3207 6.8177
angles (deg): 90.00 90.00 135.65
With the nearest neighbours (Å) after each atom.
Atoms (fractional coordinates):
Yb: 0.4370 0.5630 0.2500  3 Ni 2.73-2.98, 4 Al 3.02
Yb: 0.5630 0.4370 0.7500  3 Ni 2.73-2.98, 4 Al 3.02
Al: 0.8456 0.1544 0.9460  3 Ni 2.44-2.48, 1 Al 2.67
Al: 0.1544 0.8456 0.0540  3 Ni 2.44-2.48, 1 Al 2.67
Al: 0.1544 0.8456 0.4460  3 Ni 2.44-2.48, 1 Al 2.67
Al: 0.8456 0.1544 0.5540  3 Ni 2.44-2.48, 1 Al 2.67
Ni: 0.7142 0.2858 0.2500  6 Al 2.44-2.48, 1 Yb 2.73
Ni: 0.2858 0.7142 0.7500  6 Al 2.44-2.48, 1 Yb 2.73

***

# 3
Material: Yb2AlNi2
Method: DFT, r²SCAN
State: relaxed

Calculated values
Its total energy is -1.57004 Ry per atom. For the formation energy, the calculation gives -0.611 eV/atom.

a b c (Å): 4.1386 5.2374 5.2374
angles (deg): 60.59 66.73 66.73
With the nearest neighbours (Å) after each atom.
Atoms (fractional coordinates):
Yb: 0.2022 0.2978 0.2978  6 Ni 2.78-2.91, 2 Al 3.10
Yb: 0.7978 0.7022 0.7022  6 Ni 2.78-2.91, 2 Al 3.10
Al: 0.0000 0.0000 0.0000  4 Ni 2.50
Ni: 0.5000 0.2661 0.7339  1 Ni 2.47, 2 Al 2.50
Ni: 0.5000 0.7339 0.2661  1 Ni 2.47, 2 Al 2.50

***

# 4
Material: YbAlNi
Method: DFT, r²SCAN
State: relaxed

Calculated values
Its total energy is -1.40171 Ry per atom. For the formation energy, the calculation gives -0.657 eV/atom.

a b c (Å): 3.8393 6.8039 6.8039
angles (deg): 120.00 90.00 90.00
With the nearest neighbours (Å) after each atom.
Atoms (fractional coordinates):
Yb: 0.5000 0.5840 0.5840  5 Ni 2.81-2.83, 6 Al 3.05-3.12
Yb: 0.5000 0.0000 0.4160  5 Ni 2.81-2.83, 6 Al 3.05-3.12
Yb: 0.5000 0.4160 0.0000  5 Ni 2.81-2.83, 6 Al 3.05-3.12
Al: 0.0000 0.2365 0.2365  4 Ni 2.51-2.66, 2 Al 2.79
Al: 0.0000 0.0000 0.7635  4 Ni 2.51-2.66, 2 Al 2.79
Al: 0.0000 0.7635 0.0000  4 Ni 2.51-2.66, 2 Al 2.79
Ni: 0.0000 0.6667 0.3333  3 Al 2.66, 6 Yb 2.81
Ni: 0.0000 0.3333 0.6667  3 Al 2.66, 6 Yb 2.81
Ni: 0.5000 0.0000 0.0000  6 Al 2.51

***

# 5
Material: ZrAlNi
Method: DFT, r²SCAN
State: relaxed

Calculated values
Its total energy is -1.06598 Ry per atom. For the formation energy, the calculation gives -0.682 eV/atom.

a b c (Å): 6.8741 6.8741 3.4819
angles (deg): 90.00 90.00 120.00
With the nearest neighbours (Å) after each atom.
Atoms (fractional coordinates):
Zr: 0.5901 0.0000 0.5000  5 Ni 2.71-2.82, 6 Al 2.93-3.01
Zr: 0.4099 0.4099 0.5000  5 Ni 2.71-2.82, 6 Al 2.93-3.01
Zr: 0.0000 0.5901 0.5000  5 Ni 2.71-2.82, 6 Al 2.93-3.01
Al: 0.2475 0.0000 0.0000  4 Ni 2.43-2.64
Al: 0.7525 0.7525 0.0000  4 Ni 2.43-2.64
Al: 0.0000 0.2475 0.0000  4 Ni 2.43-2.64
Ni: 0.0000 0.0000 0.5000  6 Al 2.43
Ni: 0.3333 0.6667 0.0000  3 Al 2.64, 6 Zr 2.71
Ni: 0.6667 0.3333 0.0000  3 Al 2.64, 6 Zr 2.71

***

# 6
Material: ZrAl5Ni2
Method: DFT, r²SCAN
State: relaxed

Calculated values
Its total energy is -0.78482 Ry per atom. For the formation energy, the calculation gives -0.631 eV/atom.

a b c (Å): 3.9943 3.9943 7.7654
angles (deg): 104.90 104.90 90.00
With the nearest neighbours (Å) after each atom.
Atoms (fractional coordinates):
Zr: 0.0000 0.0000 0.0000  12 Al 2.82-2.93
Al: 0.5000 0.5000 0.0000  4 Zr 2.82, 8 Al 2.93
Al: 0.6482 0.1482 0.2965  4 Ni 2.40-2.57
Al: 0.1482 0.6482 0.2965  4 Ni 2.40-2.57
Al: 0.3518 0.8518 0.7035  4 Ni 2.40-2.57
Al: 0.8518 0.3518 0.7035  4 Ni 2.40-2.57
Ni: 0.2397 0.2397 0.4794  8 Al 2.40-2.57
Ni: 0.7603 0.7603 0.5206  8 Al 2.40-2.57

***

# 7
Material: NpAl2
Method: DFT, r²SCAN
State: relaxed

Calculated values
Its total energy is -2.39340 Ry per atom. For the formation energy, the calculation gives -0.401 eV/atom.

a b c (Å): 5.5700 5.5700 5.5700
angles (deg): 60.00 60.00 60.00
With the nearest neighbours (Å) after each atom.
Atoms (fractional coordinates):
Np: 0.8750 0.8750 0.8750  12 Al 3.27, 4 Np 3.41
Np: 0.1250 0.1250 0.1250  12 Al 3.27, 4 Np 3.41
Al: 0.5000 0.5000 0.5000  6 Al 2.78
Al: 0.5000 0.5000 0.0000  6 Al 2.78
Al: 0.0000 0.5000 0.5000  6 Al 2.78
Al: 0.5000 0.0000 0.5000  6 Al 2.78

***

# 8
Material: Al2Si2PbO10
Method: DFT, r²SCAN
State: relaxed

Calculated values
Its total energy is -0.88421 Ry per atom. For the formation energy, the calculation gives -2.229 eV/atom.

a b c (Å): 5.7153 8.9798 12.5259
angles (deg): 90.00 90.00 90.00
With the nearest neighbours (Å) after each atom.
Atoms (fractional coordinates):
Al: 0.2506 0.7499 0.9996  6 O 1.86-1.93
Al: 0.2494 0.2499 0.5004  6 O 1.86-1.93
Al: 0.7494 0.2501 0.4996  6 O 1.86-1.93
Al: 0.7506 0.7501 0.0004  6 O 1.86-1.93
Al: 0.7494 0.2501 0.0004  6 O 1.86-1.93
Al: 0.7506 0.7501 0.4996  6 O 1.86-1.93
Al: 0.2506 0.7499 0.5004  6 O 1.86-1.93
Al: 0.2494 0.2499 0.9996  6 O 1.86-1.93
Si: 0.5007 0.5176 0.8687  4 O 1.62-1.65
Si: 0.9993 0.0176 0.6313  4 O 1.62-1.65
Si: 0.4993 0.4824 0.3687  4 O 1.62-1.65
Si: 0.0007 0.9824 0.1313  4 O 1.62-1.65
Si: 0.4993 0.4824 0.1313  4 O 1.62-1.65
Si: 0.0007 0.9824 0.3687  4 O 1.62-1.65
Si: 0.5007 0.5176 0.6313  4 O 1.62-1.65
Si: 0.9993 0.0176 0.8687  4 O 1.62-1.65
Pb: 0.4991 0.9391 0.2500  3 O 2.01-2.25
Pb: 0.0009 0.4391 0.2500  3 O 2.01-2.25
Pb: 0.5009 0.0609 0.7500  3 O 2.01-2.25
Pb: 0.9991 0.5609 0.7500  3 O 2.01-2.25
O: 0.4945 0.5545 0.2500  2 Si 1.62
O: 0.0055 0.0545 0.2500  2 Si 1.62
O: 0.5055 0.4455 0.7500  2 Si 1.62
O: 0.9945 0.9455 0.7500  2 Si 1.62
O: 0.7629 0.8802 0.3769  1 Si 1.64
O: 0.7371 0.3802 0.1231  1 Si 1.64
O: 0.2371 0.1198 0.8769  1 Si 1.64
O: 0.2629 0.6198 0.6231  1 Si 1.64
O: 0.2371 0.1198 0.6231  1 Si 1.64
O: 0.2629 0.6198 0.8769  1 Si 1.64
O: 0.7629 0.8802 0.1231  1 Si 1.64
O: 0.7371 0.3802 0.3769  1 Si 1.64
O: 0.4997 0.3707 0.9451  1 Si 1.63
O: 0.0003 0.8707 0.5549  1 Si 1.63
O: 0.5003 0.6293 0.4451  1 Si 1.63
O: 0.9997 0.1293 0.0549  1 Si 1.63
O: 0.5003 0.6293 0.0549  1 Si 1.63
O: 0.9997 0.1293 0.4451  1 Si 1.63
O: 0.4997 0.3707 0.5549  1 Si 1.63
O: 0.0003 0.8707 0.9451  1 Si 1.63
O: 0.5007 0.8585 0.9457  2 Al 1.86
O: 0.9993 0.3585 0.5543  2 Al 1.86
O: 0.4993 0.1415 0.4457  2 Al 1.86
O: 0.0007 0.6415 0.0543  2 Al 1.86
O: 0.4993 0.1415 0.0543  2 Al 1.86
O: 0.0007 0.6415 0.4457  2 Al 1.86
O: 0.5007 0.8585 0.5543  2 Al 1.86
O: 0.9993 0.3585 0.9457  2 Al 1.86
O: 0.5120 0.1624 0.2500  1 Pb 2.01
O: 0.9880 0.6624 0.2500  1 Pb 2.01
O: 0.4880 0.8376 0.7500  1 Pb 2.01
O: 0.0120 0.3376 0.7500  1 Pb 2.01
O: 0.2382 0.8794 0.1227  1 Si 1.65
O: 0.2618 0.3794 0.3773  1 Si 1.65
O: 0.7618 0.1206 0.6227  1 Si 1.65
O: 0.7382 0.6206 0.8773  1 Si 1.65
O: 0.7618 0.1206 0.8773  1 Si 1.65
O: 0.7382 0.6206 0.6227  1 Si 1.65
O: 0.2382 0.8794 0.3773  1 Si 1.65
O: 0.2618 0.3794 0.1227  1 Si 1.65